The following is a DFT calculation (GGA+U) of a geometry-optimized MnV3Cu2P6O24 structure.

Output
For the theoretical density, the calculation gives 3.37 g cm⁻³. Its crystal system is trigonal. The formation enthalpy at 0 K comes out at -2399 meV per atom.

a b c (Å): 8.5678 8.5878 8.5878
angles (deg): 60.00 59.92 59.92
Positions (direct):
1 Mn 0.5716 0.1428 0.1428
2 V 0.0715 0.6428 0.6428
3 V 0.4265 0.8578 0.8578
4 V 0.9274 0.3575 0.3575
5 Cu 0.9993 0.0002 0.0002
6 Cu 0.4986 0.5005 0.5005
7 P 0.2502 0.2497 0.5415
8 P 0.2502 0.9587 0.2497
9 P 0.2502 0.5415 0.9587
10 P 0.7515 0.4589 0.0402
11 P 0.7515 0.0402 0.7495
12 P 0.7515 0.7495 0.4589
13 O 0.0671 0.1233 0.3051
14 O 0.0671 0.5046 0.1233
15 O 0.0671 0.3051 0.5046
16 O 0.2378 0.0825 0.7372
17 O 0.4332 0.1955 0.3844
18 O 0.2531 0.4177 0.5642
19 O 0.2378 0.9424 0.0825
20 O 0.2531 0.7651 0.4177
21 O 0.5676 0.6220 0.0039
22 O 0.2531 0.5642 0.7651
23 O 0.7693 0.2664 0.0504
24 O 0.5676 0.0039 0.8065
25 O 0.4332 0.9869 0.1955
26 O 0.2378 0.7372 0.9424
27 O 0.7401 0.4448 0.2341
28 O 0.4332 0.3844 0.9869
29 O 0.7401 0.2341 0.5810
30 O 0.7693 0.0504 0.9139
31 O 0.7401 0.5810 0.4448
32 O 0.5676 0.8065 0.6220
33 O 0.7693 0.9139 0.2664
34 O 0.9318 0.6865 0.5021
35 O 0.9318 0.5021 0.8795
36 O 0.9318 0.8795 0.6865